P | Density functional theory data (PBE with a Hubbard U) for a relaxed structure of MgCoSiO5.

Structure (POSCAR):
```
MgCoSiO5
1.0
3.1722 -4.3094 0.0000
3.1722 4.3094 0.0000
-2.8494 0.0000 6.0954
Mg Co Si O
2 2 2 10
Direct
0.1793 0.8207 0.7500
0.8207 0.1793 0.2500
0.5000 0.5000 0.0000
0.5000 0.5000 0.5000
0.1709 0.8291 0.2500
0.8291 0.1709 0.7500
0.1409 0.2262 0.9172
0.1624 0.6126 0.3838
0.2262 0.1409 0.4172
0.3874 0.8376 0.1162
0.4186 0.5814 0.7500
0.5814 0.4186 0.2500
0.6126 0.1624 0.8838
0.7738 0.8591 0.5828
0.8376 0.3874 0.6162
0.8591 0.7738 0.0828
```

Q | Density functional theory data (PBE with a Hubbard U) for a relaxed structure of MgCoSiO5.

Structure (POSCAR):
```
MgCoSiO5
1.0
5.3311 0.0000 0.0000
-1.0625 5.3681 0.0000
-2.0304 -2.3677 6.0405
Mg Co Si O
2 2 2 10
Direct
0.0000 0.0000 0.0000
0.4882 0.7372 0.5381
0.7443 0.3683 0.2693
0.7440 0.3688 0.7693
0.0664 0.9941 0.5147
0.4220 0.7426 0.0238
0.0639 0.6761 0.4250
0.0858 0.6294 0.8753
0.4024 0.1083 0.6638
0.4249 0.0606 0.1149
0.5106 0.6260 0.2209
0.6000 0.7041 0.8629
0.6456 0.4245 0.5093
0.8432 0.3130 0.0296
0.8878 0.0333 0.6752
0.9772 0.1091 0.3168
```

The data favor Q; the next most stable structure lies 34 meV/atom above it.

P | Density functional theory data (PBE with a Hubbard U) for a relaxed structure of Li2Cr3FeO8.

Structure (POSCAR):
```
Li2Cr3FeO8
1.0
8.3805 0.0000 0.0000
-0.0340 8.3995 0.0000
-0.0131 -0.0386 8.4170
Li Cr Fe O
8 12 4 32
Direct
0.0000 0.0000 0.0000
0.0001 0.4953 0.4990
0.2477 0.2438 0.7474
0.2484 0.7447 0.2508
0.4970 0.9979 0.5034
0.5015 0.4984 0.0023
0.7466 0.7462 0.7491
0.7504 0.2507 0.2494
0.1218 0.1246 0.3751
0.1215 0.3722 0.1281
0.1253 0.8714 0.6227
0.3722 0.6192 0.6256
0.3742 0.3720 0.3771
0.3745 0.8685 0.8736
0.6231 0.8749 0.1243
0.6245 0.1242 0.8747
0.6271 0.6179 0.3731
0.8728 0.3726 0.8742
0.8745 0.6213 0.1261
0.8759 0.1265 0.6193
0.1217 0.6237 0.8714
0.3741 0.1217 0.1267
0.6260 0.3721 0.6231
0.8742 0.8726 0.3740
0.1018 0.3826 0.8866
0.1019 0.6120 0.1134
0.1056 0.8863 0.3818
0.1149 0.1103 0.6022
0.1343 0.1332 0.1466
0.1345 0.6325 0.6385
0.1378 0.3592 0.3653
0.1437 0.8651 0.8632
0.3558 0.1382 0.3696
0.3638 0.3614 0.1476
0.3644 0.8569 0.6390
0.3663 0.6413 0.8654
0.3831 0.1023 0.8890
0.3853 0.3762 0.6062
0.3881 0.6002 0.3849
0.3961 0.8765 0.1149
0.6069 0.8837 0.8878
0.6095 0.3806 0.3833
0.6140 0.6000 0.6119
0.6186 0.1009 0.1138
0.6358 0.1439 0.6360
0.6423 0.3648 0.8663
0.6424 0.6418 0.1344
0.6415 0.8578 0.3640
0.8581 0.8603 0.1382
0.8636 0.3641 0.6393
0.8648 0.1434 0.8582
0.8668 0.6284 0.3531
0.8761 0.6062 0.8937
0.8812 0.8898 0.6061
0.8827 0.3866 0.1103
0.8922 0.1179 0.3813
```

Q | Density functional theory data (PBE with a Hubbard U) for a relaxed structure of Li2Cr3FeO8.

Structure (POSCAR):
```
Li2Cr3FeO8
1.0
5.8413 0.0000 0.0000
-2.8730 5.1049 0.0000
-2.9022 -1.7117 4.9212
Li Cr Fe O
2 3 1 8
Direct
0.0000 0.0000 0.0000
0.0000 0.5000 0.0000
0.0000 0.0000 0.5000
0.0000 0.5000 0.5000
0.5000 0.0000 0.5000
0.5000 0.5000 0.5000
0.0409 0.2689 0.2876
0.0437 0.7696 0.2894
0.4827 0.2421 0.7029
0.4835 0.7334 0.7066
0.5165 0.2666 0.2934
0.5173 0.7579 0.2971
0.9563 0.2304 0.7106
0.9591 0.7311 0.7124
```

R | Density functional theory data (PBE with a Hubbard U) for a relaxed structure of Li2Cr3FeO8.

Structure (POSCAR):
```
Li2Cr3FeO8
1.0
2.9694 1.7144 4.8244
-2.9694 1.7144 4.8244
0.0000 -3.4288 4.8244
Li Cr Fe O
2 3 1 8
Direct
0.1247 0.1247 0.1247
0.8753 0.8753 0.8753
0.0000 0.5000 0.5000
0.5000 0.0000 0.5000
0.5000 0.5000 0.0000
0.5000 0.5000 0.5000
0.2615 0.2615 0.7131
0.2615 0.7131 0.2615
0.2674 0.2674 0.2674
0.2869 0.7385 0.7385
0.7131 0.2615 0.2615
0.7326 0.7326 0.7326
0.7385 0.2869 0.7385
0.7385 0.7385 0.2869
```

The data favor P; the next most stable structure lies 13 meV/atom above it.

P | Density functional theory data (PBE with a Hubbard U) for a relaxed structure of Li3Co2O5.

Structure (POSCAR):
```
Li3Co2O5
1.0
5.0268 0.0000 0.0000
-1.7316 5.5504 0.0000
-0.8624 -1.8780 6.1997
Li Co O
6 4 10
Direct
0.0000 0.0000 0.0000
0.0000 0.5000 0.0000
0.2004 0.4022 0.3974
0.3924 0.7981 0.8059
0.6076 0.2019 0.1941
0.7996 0.5978 0.6026
0.1966 0.8920 0.3943
0.4059 0.3047 0.8052
0.5941 0.6953 0.1948
0.8034 0.1080 0.6057
0.1097 0.4250 0.7001
0.1180 0.9758 0.7044
0.3253 0.8427 0.1192
0.3310 0.3713 0.0922
0.4891 0.2436 0.5202
0.5109 0.7564 0.4798
0.6690 0.6287 0.9078
0.6747 0.1573 0.8808
0.8820 0.0242 0.2956
0.8903 0.5750 0.2999
```

Q | Density functional theory data (PBE with a Hubbard U) for a relaxed structure of Li3Co2O5.

Structure (POSCAR):
```
Li3Co2O5
1.0
4.9420 -1.4993 0.0000
4.9420 1.4993 0.0000
-2.2541 0.0000 12.0522
Li Co O
6 4 10
Direct
0.0000 0.0000 0.0000
0.0984 0.0984 0.7007
0.3043 0.3043 0.1007
0.5000 0.5000 0.5000
0.6957 0.6957 0.8993
0.9016 0.9016 0.2993
0.2006 0.2006 0.3982
0.4038 0.4038 0.8080
0.5962 0.5962 0.1920
0.7994 0.7994 0.6018
0.0359 0.0359 0.8461
0.1554 0.1554 0.5448
0.2421 0.2421 0.2544
0.3495 0.3495 0.9345
0.4398 0.4398 0.6593
0.5602 0.5602 0.3407
0.6505 0.6505 0.0655
0.7579 0.7579 0.7456
0.8446 0.8446 0.4552
0.9641 0.9641 0.1539
```

The data favor Q; the next most stable structure lies 26 meV/atom above it.

P | Density functional theory data (PBE with a Hubbard U) for a relaxed structure of Li2Ni2SbO6.

Structure (POSCAR):
```
Li2Ni2SbO6
1.0
2.6422 -4.4566 0.0000
2.6422 4.4566 0.0000
-0.0018 0.0000 10.0895
Li Ni Sb O
4 4 2 12
Direct
0.1145 0.1145 0.2501
0.3855 0.3817 0.7499
0.6183 0.6145 0.2501
0.8855 0.8855 0.7499
0.0901 0.9099 0.5000
0.4199 0.5801 0.5000
0.5823 0.4177 0.0000
0.9123 0.0877 0.0000
0.2438 0.7562 0.0000
0.7584 0.2416 0.5000
0.0696 0.2284 0.6141
0.0952 0.5666 0.4015
0.2310 0.0678 0.8858
0.2810 0.4366 0.1065
0.4334 0.9048 0.5985
0.4393 0.2792 0.3934
0.5634 0.7190 0.8935
0.5692 0.0933 0.0984
0.7208 0.5607 0.6066
0.7716 0.9304 0.3859
0.9067 0.4308 0.9016
0.9322 0.7690 0.1142
```

Q | Density functional theory data (PBE with a Hubbard U) for a relaxed structure of Li2Ni2SbO6.

Structure (POSCAR):
```
Li2Ni2SbO6
1.0
4.4668 -2.6387 0.0000
4.4668 2.6387 0.0000
0.0000 0.0000 10.0563
Li Ni Sb O
4 4 2 12
Direct
0.1446 0.3554 0.2500
0.3554 0.1446 0.7500
0.6446 0.8554 0.2500
0.8554 0.6446 0.7500
0.1650 0.1650 0.0000
0.3350 0.3350 0.5000
0.6650 0.6650 0.5000
0.8350 0.8350 0.0000
0.0000 0.0000 0.5000
0.5000 0.5000 0.0000
0.0224 0.3173 0.6107
0.1703 0.8297 0.0996
0.1827 0.4776 0.8893
0.3173 0.0224 0.3893
0.3297 0.6703 0.5996
0.4776 0.1827 0.1107
0.5224 0.8173 0.8893
0.6703 0.3297 0.4004
0.6827 0.9776 0.6107
0.8173 0.5224 0.1107
0.8297 0.1703 0.9004
0.9776 0.6827 0.3893
```

The data favor P; the next most stable structure lies 8 meV/atom above it.

P | Density functional theory data (PBE with a Hubbard U) for a relaxed structure of Li4Mn3OF11.

Structure (POSCAR):
```
Li4Mn3OF11
1.0
5.7802 0.0000 0.0000
-0.8071 6.0651 0.0000
-0.9103 -1.0501 6.0035
Li Mn O F
4 3 1 11
Direct
0.0000 0.0000 0.0000
0.1251 0.6339 0.2557
0.6970 0.9030 0.4147
0.8288 0.5082 0.7191
0.3025 0.2692 0.5439
0.4197 0.7714 0.7984
0.6035 0.3240 0.0756
0.4825 0.4776 0.7992
0.0591 0.4487 0.5399
0.0816 0.0349 0.3454
0.1670 0.7233 0.9726
0.3003 0.0579 0.7897
0.3319 0.3553 0.1971
0.3949 0.7511 0.4696
0.6062 0.0082 0.1051
0.6101 0.2031 0.5045
0.7689 0.6157 0.2316
0.7715 0.8312 0.7449
0.8778 0.2972 0.9551
```

Q | Density functional theory data (PBE with a Hubbard U) for a relaxed structure of Li4Mn3OF11.

Structure (POSCAR):
```
Li4Mn3OF11
1.0
6.0395 0.0000 0.0000
-1.0568 6.0125 0.0000
-1.1245 -1.3560 5.8497
Li Mn O F
4 3 1 11
Direct
0.0000 0.0000 0.0000
0.2003 0.2916 0.5504
0.4728 0.9359 0.7448
0.7275 0.4920 0.8321
0.3340 0.6063 0.1500
0.6181 0.2423 0.2605
0.9094 0.7610 0.4828
0.6465 0.5654 0.2712
0.0334 0.6624 0.0452
0.1467 0.9896 0.7150
0.2316 0.2734 0.1884
0.2969 0.7202 0.4452
0.3759 0.4971 0.8542
0.4571 0.9337 0.1100
0.5287 0.2257 0.5415
0.7264 0.2240 0.9860
0.7363 0.7992 0.7466
0.8908 0.0160 0.3380
0.9482 0.4683 0.5574
```

The data favor Q; the next most stable structure lies 30 meV/atom above it.

P | Density functional theory data (PBE with a Hubbard U) for a relaxed structure of Na2VPCO7.

Structure (POSCAR):
```
Na2VPCO7
1.0
8.4066 0.0000 0.0000
-1.6494 8.2440 0.0000
-3.1278 -3.8157 8.9886
Na V P C O
8 4 4 4 28
Direct
0.0000 0.0000 0.0000
0.0474 0.2798 0.8077
0.1120 0.6117 0.1665
0.3319 0.0643 0.3586
0.4999 0.4993 0.9997
0.5473 0.7792 0.8077
0.6115 0.1113 0.1663
0.8320 0.5639 0.3586
0.1078 0.6340 0.7452
0.4773 0.5037 0.4209
0.6075 0.1339 0.7454
0.9775 0.0039 0.4210
0.2455 0.7661 0.5085
0.3454 0.3661 0.6577
0.7453 0.2660 0.5084
0.8453 0.8661 0.6578
0.2865 0.8036 0.0165
0.3078 0.3249 0.1497
0.7866 0.3038 0.0166
0.8076 0.8248 0.1498
0.1191 0.6555 0.5543
0.1375 0.8459 0.4069
0.1438 0.6671 0.9662
0.2020 0.2117 0.5190
0.2096 0.2429 0.0131
0.2659 0.4745 0.7593
0.2806 0.2782 0.2545
0.3115 0.6436 0.4042
0.3332 0.8308 0.9117
0.3684 0.9018 0.1531
0.3999 0.9093 0.6473
0.4442 0.4677 0.1999
0.4559 0.4923 0.6116
0.4679 0.3001 0.7621
0.6191 0.1557 0.5546
0.6370 0.3454 0.4068
0.6437 0.1677 0.9667
0.7022 0.7114 0.5192
0.7093 0.7424 0.0133
0.7656 0.9741 0.7594
0.7809 0.7783 0.2548
0.8111 0.1433 0.4041
0.8331 0.3304 0.9114
0.8691 0.4023 0.1530
0.8999 0.4093 0.6469
0.9438 0.9676 0.1998
0.9557 0.9926 0.6118
0.9683 0.8005 0.7623
```

Q | Density functional theory data (PBE with a Hubbard U) for a relaxed structure of Na2VPCO7.

Structure (POSCAR):
```
Na2VPCO7
1.0
10.3705 0.0000 0.0000
0.0000 6.5567 0.0000
-5.1268 0.0000 9.2373
Na V P C O
8 4 4 4 28
Direct
0.0000 0.2430 0.0000
0.0000 0.7570 0.0000
0.0012 0.2435 0.5003
0.0012 0.7565 0.5003
0.4558 0.2567 0.9685
0.4558 0.7433 0.9685
0.4568 0.2569 0.4688
0.4568 0.7431 0.4688
0.5794 0.0000 0.3055
0.5796 0.0000 0.8053
0.8769 0.5000 0.1634
0.8769 0.5000 0.6635
0.6519 0.5000 0.8036
0.6531 0.5000 0.3050
0.8040 0.0000 0.1648
0.8043 0.0000 0.6651
0.1472 0.5000 0.8315
0.1478 0.5000 0.3309
0.3085 0.0000 0.1384
0.3093 0.0000 0.6375
0.0452 0.5000 0.3729
0.0456 0.5000 0.8742
0.0884 0.5000 0.6895
0.0899 0.5000 0.1894
0.1734 0.0000 0.0498
0.1735 0.0000 0.5509
0.2832 0.5000 0.4188
0.2830 0.5000 0.9182
0.3656 0.0000 0.2795
0.3681 0.0000 0.7795
0.4108 0.0000 0.5947
0.4117 0.0000 0.0965
0.5620 0.3087 0.7990
0.5620 0.6913 0.7990
0.5647 0.3086 0.3047
0.5647 0.6914 0.3047
0.6520 0.0000 0.0230
0.6532 0.0000 0.5226
0.6753 0.5000 0.1693
0.6780 0.5000 0.6702
0.7785 0.0000 0.7988
0.7807 0.0000 0.2996
0.8030 0.5000 0.9464
0.8056 0.5000 0.4459
0.8934 0.1913 0.1672
0.8934 0.8087 0.1672
0.8943 0.1913 0.6698
0.8943 0.8087 0.6698
```

The data favor Q; the next most stable structure lies 7 meV/atom above it.